Below is a geometry-optimized KEu2Cd2Sb3 structure, with properties calculated at the PBE level.

Unit cell a=12.659 b=4.879 c=16.296 alpha=90.00 beta=90.00 gamma=90.00
Element x y z (fractional)
Eu 0.136 0.750 0.220
Eu 0.364 0.250 0.720
Eu 0.600 0.250 0.924
Eu 0.864 0.250 0.780
Eu 0.400 0.750 0.076
Eu 0.900 0.750 0.424
Eu 0.636 0.750 0.280
Eu 0.100 0.250 0.576
Sb 0.377 0.750 0.308
Sb 0.211 0.250 0.087
Sb 0.877 0.750 0.192
Sb 0.123 0.250 0.808
Sb 0.421 0.750 0.873
Sb 0.289 0.750 0.587
Sb 0.623 0.250 0.692
Sb 0.921 0.750 0.627
Sb 0.789 0.750 0.913
Sb 0.079 0.250 0.373
Sb 0.579 0.250 0.127
Sb 0.711 0.250 0.413
Cd 0.803 0.250 0.576
Cd 0.130 0.750 0.720
Cd 0.197 0.750 0.424
Cd 0.303 0.250 0.924
Cd 0.870 0.250 0.280
Cd 0.370 0.250 0.220
Cd 0.630 0.750 0.780
Cd 0.697 0.750 0.076
K 0.908 0.250 0.046
K 0.408 0.250 0.454
K 0.092 0.750 0.954
K 0.592 0.750 0.546

Results
calculated formation energy = -0.7552 eV per atom
space group = Pnma, No. 62
E_tot = -5.1653 eV per atom

Below is a geometry-optimized LiEu2Cd structure, with properties calculated at the PBE level.

Unit cell a=5.641 b=5.641 c=5.641 alpha=60.00 beta=60.00 gamma=60.00
Element x y z (fractional)
Cd 0.500 0.500 0.500
Li 0.000 0.000 0.000
Eu 0.250 0.250 0.250
Eu 0.750 0.750 0.750

Results
calculated formation energy = -0.1675 eV per atom
space group = Fm-3m, No. 225
E_tot = -6.0040 eV per atom

Result set for M_tot: 55.9; 14.4 μB/cell, one per record in the order listed.